Li4Ca2MgSi2N6: optimized geometry, PBE.

magnetic moment	0.00	μB per cell
DFT formation energy	-1.12	eV per atom
DFT total energy	-5.912	eV per atom

```
15
Lattice="4.9131 2.9642 0.0000 -4.9131 2.9642 0.0000 0.0000 0.4857 5.6225" Properties=species:S:1:pos:R:3 pbc="T T T"
Li 3.2324 4.1018 2.1101
Li -3.2324 4.1018 2.1101
Li -3.2324 2.3124 3.5124
Li 3.2324 2.3124 3.5124
Ca -1.7491 2.9642 0.0000
Ca 1.7491 2.9642 0.0000
Mg 0.0000 0.0000 0.0000
Si 0.0000 2.2149 3.5589
Si 0.0000 4.1993 2.0636
N 0.0000 4.0214 3.8622
N 0.0000 2.3927 1.7603
N -1.4206 1.4186 4.2051
N 1.4206 1.4186 4.2051
N 1.4206 4.9955 1.4175
N -1.4206 4.9955 1.4175
```


Li2CaMn2N2: optimized geometry, PBE.

magnetic moment	12.72	μB per cell
DFT formation energy	-0.52	eV per atom
DFT total energy	-6.245	eV per atom

```
14
Lattice="7.0484 0.0000 0.0000 0.0000 7.0484 0.0000 0.0000 0.0000 3.7443" Properties=species:S:1:pos:R:3 pbc="T T T"
Li 0.8165 4.3407 0.0000
Li 6.2320 2.7077 0.0000
Li 4.3407 6.2320 0.0000
Li 2.7077 0.8165 0.0000
Ca 0.0000 0.0000 0.0000
Ca 3.5242 3.5242 0.0000
Mn 4.7581 1.2339 1.8721
Mn 2.2903 5.8145 1.8721
Mn 1.2339 2.2903 1.8721
Mn 5.8145 4.7581 1.8721
N 4.7680 1.2438 0.0000
N 2.2804 5.8046 0.0000
N 1.2438 2.2804 0.0000
N 5.8046 4.7680 0.0000
```


Li2Ca5N4: optimized geometry, PBE.

magnetic moment	0.00	μB per cell
DFT formation energy	-0.78	eV per atom
DFT total energy	-4.936	eV per atom

```
44
Lattice="7.9310 0.0000 0.0000 0.0000 7.9310 0.0000 0.0000 0.0000 13.0584" Properties=species:S:1:pos:R:3 pbc="T T T"
Li 0.7730 7.1579 3.2646
Li 3.1925 7.1579 9.7938
Li 0.7730 4.7385 9.7938
Li 3.1925 4.7385 3.2646
Li 7.1579 0.7730 9.7938
Li 4.7385 0.7730 3.2646
Li 7.1579 3.1925 3.2646
Li 4.7385 3.1925 9.7938
Ca 5.9482 5.9482 4.8815
Ca 5.9482 5.9482 11.4107
Ca 1.9827 1.9827 8.1770
Ca 1.9827 1.9827 1.6477
Ca 1.0494 4.5844 5.4222
Ca 2.9161 4.5844 11.9514
Ca 1.0494 7.3121 11.9514
Ca 2.9161 7.3121 5.4222
Ca 4.5844 1.0494 11.9514
Ca 7.3121 1.0494 5.4222
Ca 4.5844 2.9161 5.4222
Ca 7.3121 2.9161 11.9514
Ca 6.8815 3.3466 7.6362
Ca 5.0149 3.3466 1.1070
Ca 6.8815 0.6189 1.1070
Ca 5.0149 0.6189 7.6362
Ca 3.3466 6.8815 1.1070
Ca 0.6189 6.8815 7.6362
Ca 3.3466 5.0149 7.6362
Ca 0.6189 5.0149 1.1070
N 5.0375 0.4226 5.1478
N 6.8589 0.4226 11.6770
N 5.0375 3.5429 11.6770
N 6.8589 3.5429 5.1478
N 0.4226 5.0375 11.6770
N 3.5429 5.0375 5.1478
N 0.4226 6.8589 5.1478
N 3.5429 6.8589 11.6770
N 2.8934 7.5084 7.9106
N 1.0721 7.5084 1.3814
N 2.8934 4.3880 1.3814
N 1.0721 4.3880 7.9106
N 7.5084 2.8934 1.3814
N 4.3880 2.8934 7.9106
N 7.5084 1.0721 7.9106
N 4.3880 1.0721 1.3814
```


LiCaN: optimized geometry, PBE.

DFT formation energy	-0.77	eV per atom
DFT total energy	-4.732	eV per atom

```
12
Lattice="-2.5073 -0.2904 -2.6707 -3.1206 -3.2155 3.2793 -3.9768 6.9018 2.9831" Properties=species:S:1:pos:R:3 pbc="T T T"
Li -2.6093 -1.5923 1.3588
Li -6.9954 4.9883 2.2330
Li -3.9129 2.6647 -0.4083
Li -5.6918 0.7312 4.0001
Ca -4.7144 2.9350 2.8428
Ca -8.2733 2.4749 3.7060
Ca -1.3314 0.9210 -0.1142
Ca -4.8903 0.4610 0.7489
N -4.5615 -1.9593 0.7034
N -6.6070 1.4328 2.2550
N -5.0432 5.3552 2.8884
N -2.9976 1.9632 1.3368
```


> Number 3 is which compound?

Li2Ca5N4


> Which of these has the lowest DFT formation energy?

Li4Ca2MgSi2N6


> Among the records above, which one has the highest DFT formation energy?

Li2CaMn2N2


> Which of these has the highest DFT total energy?

LiCaN